# SiO2

A relaxed SiO2 crystal (PBE, Materials Project).

Lattice parameters (Å, degrees): 9.273 9.273 9.004 98.73 98.73 110.96
Atoms (fractional coordinates):
1 Si 0.002 0.800 0.690
2 Si 0.095 0.298 0.671
3 Si 0.108 0.596 0.895
4 Si 0.200 0.998 0.310
5 Si 0.298 0.095 0.671
6 Si 0.404 0.892 0.105
7 Si 0.596 0.108 0.895
8 Si 0.702 0.905 0.329
9 Si 0.800 0.002 0.690
10 Si 0.892 0.404 0.105
11 Si 0.905 0.702 0.329
12 Si 0.998 0.200 0.310
13 O 0.000 0.500 0.000
14 O 0.009 0.682 0.803
15 O 0.057 0.300 0.489
16 O 0.062 0.821 0.285
17 O 0.122 0.122 0.268
18 O 0.147 0.475 0.772
19 O 0.179 0.938 0.715
20 O 0.240 0.240 0.708
21 O 0.275 0.725 0.000
22 O 0.300 0.057 0.489
23 O 0.318 0.991 0.197
24 O 0.475 0.147 0.772
25 O 0.500 0.000 0.000
26 O 0.525 0.853 0.228
27 O 0.682 0.009 0.803
28 O 0.700 0.943 0.511
29 O 0.725 0.275 0.000
30 O 0.760 0.760 0.292
31 O 0.821 0.062 0.285
32 O 0.853 0.525 0.228
33 O 0.878 0.878 0.732
34 O 0.938 0.179 0.715
35 O 0.943 0.700 0.511
36 O 0.991 0.318 0.197

Calculated values
electronic total energy	-7.90	eV per atom
space-group type	C2/m (12)
ΔE_f	-3.255	eV per atom

***

# Pr2TlHg

A relaxed Pr2TlHg crystal (PBE, Materials Project).

Lattice parameters (Å, degrees): 5.534 5.534 5.534 60.00 60.00 60.00
Atoms (fractional coordinates):
1 Pr 0.250 0.250 0.250
2 Pr 0.750 0.750 0.750
3 Tl 0.000 0.000 0.000
4 Hg 0.500 0.500 0.500

Calculated values
electronic total energy	-3.48	eV per atom
space-group type	Fm-3m (225)
ΔE_f	-0.427	eV per atom

***

# Ga2S3

A relaxed Ga2S3 crystal (PBE, Materials Project).

Lattice parameters (Å, degrees): 3.877 3.877 19.118 90.00 90.00 120.00
Atoms (fractional coordinates):
1 Ga 0.000 0.000 0.000
2 Ga 0.000 0.000 0.321
3 Ga 0.000 0.000 0.648
4 Ga 0.333 0.667 0.830
5 S 0.000 0.000 0.204
6 S 0.000 0.000 0.539
7 S 0.000 0.000 0.870
8 S 0.333 0.667 0.035
9 S 0.333 0.667 0.371
10 S 0.333 0.667 0.707

Calculated values
electronic total energy	-3.87	eV per atom
space-group type	P3m1 (156)
M_tot	0.5	μB per formula unit
ΔE_f	-0.480	eV per atom

***

# LiMg6Si

A relaxed LiMg6Si crystal (PBE, Materials Project).

Lattice parameters (Å, degrees): 4.909 6.238 10.843 90.00 90.00 90.00
Atoms (fractional coordinates):
1 Mg 0.000 0.000 0.831
2 Mg 0.000 0.251 0.086
3 Si 0.500 0.000 0.666
4 Li 0.500 0.000 0.167
5 Mg 0.000 0.249 0.586
6 Mg 0.500 0.251 0.916
7 Mg 0.500 0.249 0.416
8 Mg 0.000 0.000 0.332
9 Mg 0.500 0.749 0.916
10 Mg 0.000 0.500 0.832
11 Mg 0.000 0.749 0.086
12 Li 0.500 0.500 0.667
13 Mg 0.000 0.500 0.331
14 Mg 0.500 0.751 0.416
15 Mg 0.000 0.751 0.586
16 Si 0.500 0.500 0.166

Calculated values
electronic total energy	-2.10	eV per atom
E above lowest polymorph	0.0039	eV/atom
M_tot	0.0	μB per formula unit
ΔE_f	0.029	eV per atom

***

# EuBO3

A relaxed EuBO3 crystal (PBE, Materials Project).

Lattice parameters (Å, degrees): 8.970 4.042 4.042 118.50 90.00 90.00
Atoms (fractional coordinates):
1 Eu 0.000 0.000 0.000
2 Eu 0.500 0.000 0.000
3 B 0.250 0.522 0.271
4 B 0.750 0.271 0.522
5 O 0.109 0.683 0.350
6 O 0.250 0.132 0.077
7 O 0.391 0.683 0.350
8 O 0.609 0.350 0.683
9 O 0.750 0.077 0.132
10 O 0.891 0.350 0.683

Calculated values
electronic total energy	-9.01	eV per atom
space-group type	Ama2 (40)
M_tot	6.0	μB per formula unit
ΔE_f	-3.065	eV per atom

***

# Sr3H

A relaxed Sr3H crystal (PBE, Materials Project).

Lattice parameters (Å, degrees): 7.866 7.866 6.673 90.00 90.00 120.00
Atoms (fractional coordinates):
1 Sr 0.167 0.334 0.250
2 Sr 0.167 0.833 0.250
3 Sr 0.334 0.167 0.750
4 Sr 0.666 0.833 0.250
5 Sr 0.833 0.167 0.750
6 Sr 0.833 0.666 0.750
7 H 0.333 0.667 0.750
8 H 0.667 0.333 0.250

Calculated values
electronic total energy	-1.63	eV per atom
space-group type	P6_3/mmc (194)
M_tot	0.0	μB per formula unit
ΔE_f	0.437	eV per atom

***

# Li3Np

A relaxed Li3Np crystal (PBE, Materials Project).

Lattice parameters (Å, degrees): 6.493 6.493 4.965 90.00 90.00 120.00
Atoms (fractional coordinates):
1 Li 0.148 0.295 0.250
2 Li 0.148 0.852 0.250
3 Li 0.295 0.148 0.750
4 Li 0.705 0.852 0.250
5 Li 0.852 0.148 0.750
6 Li 0.852 0.705 0.750
7 Np 0.333 0.667 0.750
8 Np 0.667 0.333 0.250

Calculated values
electronic total energy	-4.00	eV per atom
space-group type	P6_3/mmc (194)
M_tot	6.4	μB per formula unit
ΔE_f	0.673	eV per atom

***

# CePO4

A relaxed CePO4 crystal (PBE, Materials Project).

Lattice parameters (Å, degrees): 5.997 5.997 5.997 105.95 105.95 116.77
Atoms (fractional coordinates):
1 Ce 0.375 0.625 0.750
2 Ce 0.625 0.375 0.250
3 P 0.125 0.875 0.250
4 P 0.875 0.125 0.750
5 O 0.142 0.722 0.420
6 O 0.197 0.278 0.920
7 O 0.278 0.197 0.420
8 O 0.278 0.858 0.080
9 O 0.722 0.142 0.920
10 O 0.722 0.803 0.580
11 O 0.803 0.722 0.080
12 O 0.858 0.278 0.580

Calculated values
electronic total energy	-8.11	eV per atom
space-group type	I4_1/amd (141)
E above lowest polymorph	0.0309	eV/atom
M_tot	1.0	μB per formula unit
ΔE_f	-3.374	eV per atom

***

# NdAlSi

A relaxed NdAlSi crystal (PBE, Materials Project).

Lattice parameters (Å, degrees): 4.232 4.232 4.192 90.00 90.00 120.00
Atoms (fractional coordinates):
1 Nd 0.000 0.000 0.000
2 Al 0.667 0.333 0.500
3 Si 0.333 0.667 0.500

Calculated values
electronic total energy	-5.30	eV per atom
space-group type	P-6m2 (187)
ΔE_f	-0.633	eV per atom

***

# Gd4Co3B6

A relaxed Gd4Co3B6 crystal (PBE, Materials Project).

Lattice parameters (Å, degrees): 8.071 8.071 8.071 38.44 38.44 38.44
Atoms (fractional coordinates):
1 Gd 0.089 0.089 0.089
2 Gd 0.245 0.245 0.245
3 Gd 0.755 0.755 0.755
4 Gd 0.911 0.911 0.911
5 Co 0.387 0.387 0.387
6 Co 0.500 0.500 0.500
7 Co 0.613 0.613 0.613
8 B 0.000 0.332 0.668
9 B 0.000 0.668 0.332
10 B 0.332 0.000 0.668
11 B 0.332 0.668 0.000
12 B 0.668 0.000 0.332
13 B 0.668 0.332 0.000

Calculated values
electronic total energy	-9.43	eV per atom
space-group type	R-3m (166)
M_tot	2.6	μB per formula unit
ΔE_f	-0.377	eV per atom

***

# K2Na2Sm4Nb2O13

A relaxed K2Na2Sm4Nb2O13 crystal (PBE, Materials Project).

Lattice parameters (Å, degrees): 12.555 12.555 11.333 115.69 115.69 26.36
Atoms (fractional coordinates):
1 K 0.198 0.301 0.133
2 K 0.301 0.198 0.633
3 K 0.699 0.802 0.367
4 K 0.802 0.699 0.867
5 Na 0.304 0.378 0.477
6 Na 0.378 0.304 0.977
7 Na 0.622 0.696 0.023
8 Na 0.696 0.622 0.523
9 Sm 0.017 0.109 0.950
10 Sm 0.109 0.017 0.450
11 Sm 0.400 0.475 0.328
12 Sm 0.475 0.400 0.828
13 Sm 0.525 0.600 0.172
14 Sm 0.600 0.525 0.672
15 Sm 0.891 0.983 0.550
16 Sm 0.983 0.891 0.050
17 Nb 0.117 0.185 0.283
18 Nb 0.185 0.117 0.783
19 Nb 0.815 0.883 0.217
20 Nb 0.883 0.815 0.717
21 O 0.062 0.678 0.362
22 O 0.092 0.640 0.123
23 O 0.130 0.668 0.659
24 O 0.143 0.594 0.860
25 O 0.172 0.299 0.377
26 O 0.251 0.748 0.523
27 O 0.252 0.749 0.977
28 O 0.258 0.742 0.250
29 O 0.299 0.172 0.877
30 O 0.322 0.938 0.138
31 O 0.332 0.870 0.841
32 O 0.360 0.908 0.377
33 O 0.406 0.857 0.640
34 O 0.594 0.143 0.360
35 O 0.640 0.092 0.623
36 O 0.668 0.130 0.159
37 O 0.678 0.062 0.862
38 O 0.701 0.828 0.123
39 O 0.742 0.258 0.750
40 O 0.748 0.251 0.023
41 O 0.749 0.252 0.477
42 O 0.828 0.701 0.623
43 O 0.857 0.406 0.140
44 O 0.870 0.332 0.341
45 O 0.908 0.360 0.877
46 O 0.938 0.322 0.638

Calculated values
electronic total energy	-7.52	eV per atom
space-group type	C2/c (15)
M_tot	0.0	μB per formula unit
ΔE_f	-3.206	eV per atom

***

# TeMoWSeS2

A relaxed TeMoWSeS2 crystal (PBE, Materials Project).

Lattice parameters (Å, degrees): 3.308 3.308 37.695 90.00 90.00 120.00
Atoms (fractional coordinates):
1 Te 0.000 0.000 0.000
2 Te 0.000 0.000 0.102
3 Mo 0.000 0.000 0.863
4 Mo 0.333 0.667 0.427
5 W 0.000 0.000 0.239
6 W 0.333 0.667 0.051
7 Se 0.000 0.000 0.382
8 Se 0.000 0.000 0.471
9 S 0.333 0.667 0.198
10 S 0.333 0.667 0.280
11 S 0.333 0.667 0.823
12 S 0.333 0.667 0.904

Calculated values
electronic total energy	-7.01	eV per atom
space-group type	P3m1 (156)
E above lowest polymorph	0.0376	eV/atom
M_tot	0.0	μB per formula unit
ΔE_f	-0.723	eV per atom